Entry 1:
Entry from Materials Project: a relaxed structure of MgP3W3O13 (PBE with a Hubbard U). Values from VASP.

```
&SYSTEM
  ibrav = 0, nat = 40, ntyp = 4
/
ATOMIC_SPECIES
Mg 24.30 Mg.upf
P 30.97 P.upf
W 183.84 W.upf
O 16.00 O.upf
CELL_PARAMETERS angstrom
-5.064 0.194 -4.371
-4.071 -5.098 4.490
-5.001 6.875 6.100
ATOMIC_POSITIONS crystal
Mg 0.750 0.396 0.182
Mg 0.250 0.604 0.818
P 0.250 0.784 0.508
P 0.750 0.216 0.492
P 0.250 0.266 0.765
P 0.750 0.734 0.235
P 0.750 0.676 0.897
P 0.250 0.324 0.103
W 0.250 0.643 0.206
W 0.750 0.357 0.794
W 0.250 0.232 0.434
W 0.500 0.000 0.000
W 0.750 0.768 0.566
W 0.000 0.000 0.000
O 0.750 0.635 0.755
O 0.569 0.257 0.398
O 0.250 0.196 0.640
O 0.552 0.771 0.911
O 0.750 0.340 0.593
O 0.750 0.114 0.897
O 0.250 0.660 0.407
O 0.052 0.229 0.089
O 0.250 0.968 0.437
O 0.750 0.032 0.563
O 0.073 0.388 0.785
O 0.250 0.886 0.103
O 0.573 0.612 0.215
O 0.750 0.492 0.978
O 0.750 0.804 0.360
O 0.448 0.229 0.089
O 0.931 0.257 0.398
O 0.431 0.743 0.602
O 0.427 0.388 0.785
O 0.250 0.365 0.245
O 0.750 0.891 0.123
O 0.250 0.109 0.877
O 0.927 0.612 0.215
O 0.948 0.771 0.911
O 0.069 0.743 0.602
O 0.250 0.508 0.022
```

Calculated values
E_form (kJ per mole of atoms): -222
E_tot (eV per atom): -7.242
V (A^3/atom): 13.701


Entry 2:
Entry from Materials Project: a relaxed structure of Ba2YMgNi3O8 (PBE with a Hubbard U). Values from VASP.

```
&SYSTEM
  ibrav = 0, nat = 15, ntyp = 5
/
ATOMIC_SPECIES
Ba 137.33 Ba.upf
Y 88.91 Y.upf
Mg 24.30 Mg.upf
Ni 58.69 Ni.upf
O 16.00 O.upf
CELL_PARAMETERS angstrom
-2.117 -2.042 2.584
3.239 -0.740 2.068
-2.235 12.333 7.913
ATOMIC_POSITIONS crystal
Ba 0.500 0.500 0.252
Ba 0.500 0.500 0.748
Y 0.500 0.500 0.500
Mg 0.500 0.500 0.000
Ni 0.000 0.000 0.374
Ni 0.000 0.000 0.000
Ni 0.000 0.000 0.626
O 0.000 0.500 0.403
O 0.500 0.000 0.403
O 0.500 0.000 0.000
O 0.000 0.000 0.239
O 0.000 0.500 0.597
O 0.500 0.000 0.597
O 0.000 0.000 0.761
O 0.000 0.500 0.000
```

Calculated values
E_form (kJ per mole of atoms): -202
E_tot (eV per atom): -5.812
V (A^3/atom): 15.143


Question: What is the E_tot in the second record?
Answer: -5.812 eV per atom


Question: What is the formula in the second record?
Answer: Ba2YMgNi3O8